[1]
DFT (PBE) results for a relaxed Sr4Ru3O12 crystal.

a b c (Å): 18.333 5.576 9.794
angles (deg): 90.00 90.00 90.00
Space group Pnma (No. 62)
Inequivalent atoms, fractional coordinates:
1 Sr 0.007 0.250 0.249 (multiplicity 4)
2 Sr 0.135 0.250 0.565 (multiplicity 4)
3 Sr 0.138 0.750 0.099 (multiplicity 4)
4 Sr 0.248 0.750 0.415 (multiplicity 4)
5 Ru 0.063 0.250 0.917 (multiplicity 4)
6 Ru 0.063 0.750 0.415 (multiplicity 4)
7 Ru 0.193 0.750 0.751 (multiplicity 4)
8 O 0.000 0.000 0.000 (multiplicity 4)
9 O 0.000 0.000 0.500 (multiplicity 4)
10 O 0.003 0.750 0.251 (multiplicity 4)
11 O 0.122 0.002 0.831 (multiplicity 8)
12 O 0.122 0.250 0.072 (multiplicity 4)
13 O 0.122 0.508 0.341 (multiplicity 8)
14 O 0.124 0.750 0.584 (multiplicity 4)
15 O 0.242 0.750 0.918 (multiplicity 4)
16 O 0.244 0.000 0.671 (multiplicity 8)

[2]
DFT (PBE) results for a relaxed Sr2TbRuO6 crystal.

a b c (Å): 5.823 5.897 10.077
angles (deg): 90.00 124.88 90.00
Space group P2_1/c (No. 14)
Inequivalent atoms, fractional coordinates:
1 Sr 0.240 0.038 0.249 (multiplicity 4)
2 Tb 0.500 0.000 0.000 (multiplicity 2)
3 Ru 0.000 0.000 0.500 (multiplicity 2)
4 O 0.152 0.228 0.958 (multiplicity 4)
5 O 0.231 0.698 0.960 (multiplicity 4)
6 O 0.310 0.021 0.733 (multiplicity 4)

[3]
DFT (PBE) results for a relaxed SrZnRu5O11 crystal.

a b c (Å): 11.8718 11.8718 13.5425
angles (deg): 90.00 90.00 120.00
Space group P6_3/m (No. 176)
Inequivalent atoms, fractional coordinates:
1 Sr 0.1460 0.8227 0.2500 (multiplicity 6)
2 Sr 0.3333 0.6667 0.7500 (multiplicity 2)
3 Zn 0.1506 0.8226 0.7500 (multiplicity 6)
4 Zn 0.3333 0.6667 0.2500 (multiplicity 2)
5 Ru 0.0000 0.0000 0.1478 (multiplicity 4)
6 Ru 0.0017 0.4919 0.6559 (multiplicity 12)
7 Ru 0.0305 0.2703 0.0046 (multiplicity 12)
8 Ru 0.2442 0.7543 0.0012 (multiplicity 12)
9 O 0.0465 0.9031 0.7500 (multiplicity 6)
10 O 0.0655 0.8919 0.0787 (multiplicity 12)
11 O 0.0699 0.6621 0.0702 (multiplicity 12)
12 O 0.0815 0.4172 0.7500 (multiplicity 6)
13 O 0.0942 0.6430 0.7500 (multiplicity 6)
14 O 0.0964 0.4218 0.1000 (multiplicity 12)
15 O 0.1399 0.8116 0.5836 (multiplicity 12)
16 O 0.1519 0.6140 0.2500 (multiplicity 6)
17 O 0.1694 0.5854 0.5762 (multiplicity 12)
18 O 0.3333 0.6667 0.0735 (multiplicity 4)

[4]
DFT (PBE) results for a relaxed Tb3RuO7 crystal.

a b c (Å): 10.563 7.331 7.430
angles (deg): 90.00 90.00 90.00
Space group Cmcm (No. 63)
Inequivalent atoms, fractional coordinates:
1 Tb 0.000 0.000 0.000 (multiplicity 4)
2 Tb 0.224 0.298 0.250 (multiplicity 8)
3 Ru 0.000 0.500 0.000 (multiplicity 4)
4 O 0.000 0.411 0.250 (multiplicity 4)
5 O 0.128 0.309 0.539 (multiplicity 16)
6 O 0.133 0.024 0.250 (multiplicity 8)

[5]
DFT (PBE) results for a relaxed Tb2RuO5 crystal.

a b c (Å): 10.304 3.889 11.341
angles (deg): 90.00 90.00 90.00
Space group Pnma (No. 62)
Inequivalent atoms, fractional coordinates:
1 Tb 0.111 0.250 0.238 (multiplicity 4)
2 Tb 0.132 0.250 0.567 (multiplicity 4)
3 Ru 0.177 0.250 0.888 (multiplicity 4)
4 O 0.009 0.750 0.595 (multiplicity 4)
5 O 0.020 0.250 0.799 (multiplicity 4)
6 O 0.220 0.250 0.053 (multiplicity 4)
7 O 0.231 0.750 0.892 (multiplicity 4)
8 O 0.234 0.750 0.234 (multiplicity 4)

[6]
DFT (PBE) results for a relaxed Tl2Ru2O7 crystal.

a b c (Å): 10.384 10.384 10.384
angles (deg): 90.00 90.00 90.00
Space group Fd-3m (No. 227, origin choice 2)
Inequivalent atoms, fractional coordinates:
1 Tl 0.000 0.000 0.000 (multiplicity 16)
2 Ru 0.000 0.000 0.500 (multiplicity 16)
3 O 0.071 0.375 0.875 (multiplicity 48)
4 O 0.125 0.125 0.125 (multiplicity 8)

[7]
DFT (PBE) results for a relaxed Tm2Ru2O7 crystal.

a b c (Å): 10.132 10.132 10.132
angles (deg): 90.00 90.00 90.00
Space group Fd-3m (No. 227, origin choice 2)
Inequivalent atoms, fractional coordinates:
1 Tm 0.000 0.000 0.000 (multiplicity 16)
2 Ru 0.000 0.000 0.500 (multiplicity 16)
3 O 0.088 0.375 0.875 (multiplicity 48)
4 O 0.125 0.125 0.125 (multiplicity 8)

[8]
DFT (PBE) results for a relaxed Y2Ru2O7 crystal.

a b c (Å): 10.262 10.262 10.262
angles (deg): 90.00 90.00 90.00
Space group Fd-3m (No. 227, origin choice 2)
Inequivalent atoms, fractional coordinates:
1 Y 0.000 0.000 0.000 (multiplicity 16)
2 Ru 0.000 0.000 0.500 (multiplicity 16)
3 O 0.087 0.375 0.875 (multiplicity 48)
4 O 0.125 0.125 0.125 (multiplicity 8)

| no. | DFT formation energy (eV/f.u.) | raw total energy (eV/atom) |
| --- | --- | --- |
| 1 | -41.675 | -6.705 |
| 2 | -28.491 | -7.135 |
| 3 | -29.255 | -6.969 |
| 4 | -34.975 | -7.998 |
| 5 | -23.253 | -7.888 |
| 6 | -14.366 | -6.133 |
| 7 | -28.728 | -7.823 |
| 8 | -28.266 | -8.143 |